## Pr2PbS4 (PBE)

Data for an optimized crystal structure of Pr2PbS4.

Cell: 7.5712 7.5712 7.5712 Å, 109.41 109.41 109.59°
Positions (direct):
Pr: 0.1250 0.7425 0.1175
Pr: 0.2575 0.3750 0.3825
Pr: 0.6250 0.0075 0.8825
Pr: 0.9925 0.8750 0.6175
S: 0.3660 0.1139 0.5969
S: 0.5171 0.7691 0.4031
S: 0.2309 0.6340 0.7479
S: 0.7329 0.6361 0.7521
S: 0.3639 0.1160 0.0969
S: 0.8861 0.4829 0.2521
S: 0.8840 0.9809 0.2479
S: 0.0191 0.2671 0.9031
Pb: 0.7500 0.2500 0.5000
Pb: 0.5000 0.5000 0.0000

* space group: I-42d, No. 122
* spin magnetization: 0.00 μB/f.u.
* density: 6.14 g/cm3
* E_form: -13.16 eV per formula unit



## Pr2PbSe4 (PBE)

Data for an optimized crystal structure of Pr2PbSe4.

Cell: 7.8826 7.8826 7.8826 Å, 109.47 109.47 109.47°
Positions (direct):
Pb: 0.5000 0.5000 0.0000
Pb: 0.2500 0.7500 0.5000
Pr: 0.0071 0.6250 0.8821
Pr: 0.3750 0.2571 0.3821
Pr: 0.7429 0.1250 0.1179
Pr: 0.8750 0.9929 0.6179
Se: 0.9805 0.8822 0.2483
Se: 0.7695 0.5179 0.4017
Se: 0.2679 0.0195 0.9017
Se: 0.6322 0.2305 0.7483
Se: 0.1161 0.3678 0.5983
Se: 0.1178 0.3661 0.0983
Se: 0.6339 0.7321 0.7517
Se: 0.4821 0.8839 0.2517

* space group: I-42d, No. 122
* spin magnetization: 0.00 μB/f.u.
* density: 7.09 g/cm3
* E_form: -12.29 eV per formula unit



## Pr2Pb17Se20 (PBE)

Data for an optimized crystal structure of Pr2Pb17Se20.

Cell: 9.8073 9.8073 29.1794 Å, 78.38 78.38 25.98°
Positions (direct):
Pb: 0.6018 0.6018 0.5982
Pb: 0.3982 0.3982 0.4018
Pb: 0.3020 0.3020 0.0506
Pb: 0.1988 0.1988 0.7021
Pb: 0.8989 0.8989 0.6494
Pb: 0.6980 0.6980 0.9494
Pb: 0.9052 0.9052 0.1447
Pb: 0.8012 0.8012 0.2979
Pb: 0.1011 0.1011 0.3506
Pb: 0.2989 0.2989 0.5515
Pb: 0.2030 0.2030 0.2010
Pb: 0.5027 0.5027 0.7479
Pb: 0.4973 0.4973 0.2521
Pb: 0.0000 0.0000 0.5000
Pb: 0.7011 0.7011 0.4485
Pb: 0.7970 0.7970 0.7990
Pb: 0.0948 0.0948 0.8553
Se: 0.0533 0.0533 0.1699
Se: 0.5489 0.5489 0.9207
Se: 0.1486 0.1486 0.5266
Se: 0.2550 0.2550 0.8771
Se: 0.3513 0.3513 0.7257
Se: 0.5496 0.5496 0.4248
Se: 0.7450 0.7450 0.1229
Se: 0.0484 0.0484 0.6767
Se: 0.6487 0.6487 0.2743
Se: 0.7518 0.7518 0.6227
Se: 0.9516 0.9516 0.3233
Se: 0.6532 0.6532 0.7715
Se: 0.9467 0.9467 0.8301
Se: 0.8481 0.8481 0.9703
Se: 0.1519 0.1519 0.0297
Se: 0.3468 0.3468 0.2285
Se: 0.4511 0.4511 0.0793
Se: 0.8514 0.8514 0.4734
Se: 0.2482 0.2482 0.3773
Se: 0.4504 0.4504 0.5752
Pr: 0.5966 0.5966 0.0968
Pr: 0.4034 0.4034 0.9032

* space group: C2/m, No. 12
* spin magnetization: 0.01 μB/f.u.
* density: 7.43 g/cm3
* E_form: -37.38 eV per formula unit



## Pr2Zn5Pb (PBE)

Data for an optimized crystal structure of Pr2Zn5Pb.

Cell: 8.6726 8.6726 9.1832 Å, 90.00 90.00 149.75°
Positions (direct):
Zn: 0.8143 0.1857 0.3913
Zn: 0.6581 0.3419 0.0147
Zn: 0.1857 0.8143 0.8913
Zn: 0.6082 0.3918 0.7500
Zn: 0.6581 0.3419 0.4853
Zn: 0.8143 0.1857 0.1087
Zn: 0.3918 0.6082 0.2500
Zn: 0.3419 0.6581 0.9853
Zn: 0.1857 0.8143 0.6087
Zn: 0.3419 0.6581 0.5147
Pr: 0.0000 0.0000 0.5000
Pr: 0.7951 0.2049 0.7500
Pr: 0.2049 0.7951 0.2500
Pr: 0.0000 0.0000 0.0000
Pb: 0.5538 0.4462 0.2500
Pb: 0.4462 0.5538 0.7500

* space group: Cmcm, No. 63
* density: 7.79 g/cm3
* E_form: -3.10 eV per formula unit



Copy entry 1 word for word.
## Pr2PbS4 (PBE)

Data for an optimized crystal structure of Pr2PbS4.

Cell: 7.5712 7.5712 7.5712 Å, 109.41 109.41 109.59°
Positions (direct):
Pr: 0.1250 0.7425 0.1175
Pr: 0.2575 0.3750 0.3825
Pr: 0.6250 0.0075 0.8825
Pr: 0.9925 0.8750 0.6175
S: 0.3660 0.1139 0.5969
S: 0.5171 0.7691 0.4031
S: 0.2309 0.6340 0.7479
S: 0.7329 0.6361 0.7521
S: 0.3639 0.1160 0.0969
S: 0.8861 0.4829 0.2521
S: 0.8840 0.9809 0.2479
S: 0.0191 0.2671 0.9031
Pb: 0.7500 0.2500 0.5000
Pb: 0.5000 0.5000 0.0000

* space group: I-42d, No. 122
* spin magnetization: 0.00 μB/f.u.
* density: 6.14 g/cm3
* E_form: -13.16 eV per formula unit



Copy entry 3 word for word.
## Pr2Pb17Se20 (PBE)

Data for an optimized crystal structure of Pr2Pb17Se20.

Cell: 9.8073 9.8073 29.1794 Å, 78.38 78.38 25.98°
Positions (direct):
Pb: 0.6018 0.6018 0.5982
Pb: 0.3982 0.3982 0.4018
Pb: 0.3020 0.3020 0.0506
Pb: 0.1988 0.1988 0.7021
Pb: 0.8989 0.8989 0.6494
Pb: 0.6980 0.6980 0.9494
Pb: 0.9052 0.9052 0.1447
Pb: 0.8012 0.8012 0.2979
Pb: 0.1011 0.1011 0.3506
Pb: 0.2989 0.2989 0.5515
Pb: 0.2030 0.2030 0.2010
Pb: 0.5027 0.5027 0.7479
Pb: 0.4973 0.4973 0.2521
Pb: 0.0000 0.0000 0.5000
Pb: 0.7011 0.7011 0.4485
Pb: 0.7970 0.7970 0.7990
Pb: 0.0948 0.0948 0.8553
Se: 0.0533 0.0533 0.1699
Se: 0.5489 0.5489 0.9207
Se: 0.1486 0.1486 0.5266
Se: 0.2550 0.2550 0.8771
Se: 0.3513 0.3513 0.7257
Se: 0.5496 0.5496 0.4248
Se: 0.7450 0.7450 0.1229
Se: 0.0484 0.0484 0.6767
Se: 0.6487 0.6487 0.2743
Se: 0.7518 0.7518 0.6227
Se: 0.9516 0.9516 0.3233
Se: 0.6532 0.6532 0.7715
Se: 0.9467 0.9467 0.8301
Se: 0.8481 0.8481 0.9703
Se: 0.1519 0.1519 0.0297
Se: 0.3468 0.3468 0.2285
Se: 0.4511 0.4511 0.0793
Se: 0.8514 0.8514 0.4734
Se: 0.2482 0.2482 0.3773
Se: 0.4504 0.4504 0.5752
Pr: 0.5966 0.5966 0.0968
Pr: 0.4034 0.4034 0.9032

* space group: C2/m, No. 12
* spin magnetization: 0.01 μB/f.u.
* density: 7.43 g/cm3
* E_form: -37.38 eV per formula unit